{"formula": "LiSbP2O7", "functional": "GGA-PBE", "state": "optimized geometry", "ef_kj_per_mol_fu": -2628, "energy_mp2020_ev_per_atom": -7.158, "magmom_total_mub_per_cell": 0.00, "lattice_angstrom": [[9.029, 0.000, 0.000], [0.000, 5.139, 0.000], [-6.209, 0.000, 12.825]], "species": ["Li", "Li", "Li", "Li", "Sb", "Sb", "Sb", "Sb", "P", "P", "P", "P", "P", "P", "P", "P", "O", "O", "O", "O", "O", "O", "O", "O", "O", "O", "O", "O", "O", "O", "O", "O", "O", "O", "O", "O", "O", "O", "O", "O", "O", "O", "O", "O"], "frac_coords": [[0.077, 0.226, 0.206], [0.077, 0.274, 0.706], [0.923, 0.726, 0.294], [0.923, 0.774, 0.794], [0.233, 0.223, 0.971], [0.233, 0.277, 0.471], [0.767, 0.723, 0.529], [0.767, 0.777, 0.029], [0.178, 0.716, 0.117], [0.178, 0.784, 0.617], [0.303, 0.747, 0.841], [0.303, 0.753, 0.341], [0.697, 0.247, 0.659], [0.697, 0.253, 0.159], [0.822, 0.216, 0.383], [0.822, 0.284, 0.883], [0.027, 0.636, 0.616], [0.027, 0.864, 0.116], [0.150, 0.078, 0.607], [0.150, 0.422, 0.107], [0.176, 0.536, 0.835], [0.176, 0.964, 0.335], [0.220, 0.019, 0.835], [0.220, 0.481, 0.335], [0.238, 0.670, 0.541], [0.238, 0.830, 0.041], [0.322, 0.724, 0.733], [0.322, 0.776, 0.233], [0.470, 0.727, 0.929], [0.470, 0.773, 0.429], [0.530, 0.227, 0.571], [0.530, 0.273, 0.071], [0.678, 0.224, 0.767], [0.678, 0.276, 0.267], [0.762, 0.170, 0.959], [0.762, 0.330, 0.459], [0.780, 0.519, 0.665], [0.780, 0.981, 0.165], [0.824, 0.036, 0.665], [0.824, 0.464, 0.165], [0.850, 0.578, 0.893], [0.850, 0.922, 0.393], [0.973, 0.136, 0.884], [0.973, 0.364, 0.384]]}

---

{"formula": "I", "functional": "GGA-PBE", "state": "optimized geometry", "de_polymorph_kj_per_mol_atoms": 11.3, "ef_kj_per_mol_fu": 11, "lattice_angstrom": [[0.000, 2.390, 4.415], [2.183, 0.000, 4.415], [2.183, 2.390, 0.000]], "species": ["I"], "frac_coords": [[0.000, 0.000, 0.000]]}

---

{"formula": "PrC6N9", "functional": "GGA-PBE", "state": "optimized geometry", "ef_kj_per_mol_fu": -301, "energy_mp2020_ev_per_atom": -8.644, "lattice_angstrom": [[3.947, -5.948, 0.000], [3.947, 5.948, 0.000], [0.000, 0.000, 10.570]], "species": ["Pr", "Pr", "C", "C", "C", "C", "C", "C", "C", "C", "C", "C", "C", "C", "N", "N", "N", "N", "N", "N", "N", "N", "N", "N", "N", "N", "N", "N", "N", "N", "N", "N"], "frac_coords": [[0.214, 0.786, 0.750], [0.786, 0.214, 0.250], [0.056, 0.229, 0.750], [0.211, 0.502, 0.051], [0.211, 0.502, 0.449], [0.229, 0.056, 0.250], [0.498, 0.789, 0.051], [0.498, 0.789, 0.449], [0.502, 0.211, 0.551], [0.502, 0.211, 0.949], [0.771, 0.944, 0.750], [0.789, 0.498, 0.551], [0.789, 0.498, 0.949], [0.944, 0.771, 0.250], [0.031, 0.969, 0.250], [0.083, 0.360, 0.098], [0.083, 0.360, 0.402], [0.143, 0.407, 0.750], [0.343, 0.657, 0.508], [0.343, 0.657, 0.992], [0.360, 0.083, 0.598], [0.360, 0.083, 0.902], [0.407, 0.143, 0.250], [0.593, 0.857, 0.750], [0.640, 0.917, 0.098], [0.640, 0.917, 0.402], [0.657, 0.343, 0.008], [0.657, 0.343, 0.492], [0.857, 0.593, 0.250], [0.917, 0.640, 0.598], [0.917, 0.640, 0.902], [0.969, 0.031, 0.750]]}

---

{"formula": "CaMg14B", "functional": "GGA-PBE", "state": "optimized geometry", "de_polymorph_kj_per_mol_atoms": 0.0, "ef_kj_per_mol_fu": 240, "magmom_total_mub_per_cell": 0.00, "lattice_angstrom": [[10.294, 0.000, 0.000], [0.000, 3.075, 5.711], [0.000, -3.075, 5.711]], "species": ["Ca", "Mg", "Mg", "Mg", "Mg", "Mg", "Mg", "Mg", "Mg", "Mg", "Mg", "Mg", "Mg", "Mg", "Mg", "B"], "frac_coords": [[0.000, 0.000, 0.000], [0.000, 0.018, 0.494], [0.000, 0.494, 0.018], [0.221, 0.636, 0.636], [0.249, 0.151, 0.641], [0.249, 0.641, 0.151], [0.263, 0.149, 0.149], [0.500, 0.485, 0.485], [0.500, 0.488, 0.978], [0.500, 0.978, 0.488], [0.500, 0.980, 0.980], [0.737, 0.149, 0.149], [0.751, 0.151, 0.641], [0.751, 0.641, 0.151], [0.779, 0.636, 0.636], [0.000, 0.431, 0.431]]}

---

{"formula": "MgSi", "functional": "GGA-PBE", "state": "optimized geometry", "ef_kj_per_mol_fu": 25, "energy_mp2020_ev_per_atom": -3.381, "magmom_total_mub_per_cell": 0.00, "lattice_angstrom": [[4.767, -1.895, 0.000], [4.767, 1.895, 0.000], [-3.458, 0.000, 11.995]], "species": ["Mg", "Mg", "Mg", "Mg", "Mg", "Mg", "Si", "Si", "Si", "Si", "Si", "Si"], "frac_coords": [[0.000, 0.000, 0.000], [0.152, 0.152, 0.623], [0.457, 0.457, 0.164], [0.510, 0.510, 0.804], [0.669, 0.669, 0.421], [0.917, 0.917, 0.333], [0.190, 0.190, 0.233], [0.258, 0.258, 0.933], [0.409, 0.409, 0.507], [0.724, 0.724, 0.093], [0.789, 0.789, 0.802], [0.873, 0.873, 0.631]]}

---

{"formula": "LiYF4", "functional": "GGA-PBE", "state": "optimized geometry", "de_polymorph_kj_per_mol_atoms": 0.0, "ef_kj_per_mol_fu": -2338, "energy_mp2020_ev_per_atom": -6.710, "lattice_angstrom": [[-2.627, 2.627, 5.430], [2.627, -2.627, 5.430], [2.627, 2.627, -5.430]], "species": ["Li", "Li", "Y", "Y", "F", "F", "F", "F", "F", "F", "F", "F"], "frac_coords": [[0.375, 0.125, 0.250], [0.625, 0.875, 0.750], [0.125, 0.375, 0.750], [0.875, 0.625, 0.250], [0.128, 0.326, 0.366], [0.174, 0.040, 0.801], [0.262, 0.628, 0.301], [0.460, 0.762, 0.134], [0.540, 0.238, 0.866], [0.738, 0.372, 0.699], [0.826, 0.960, 0.199], [0.872, 0.674, 0.634]]}

---

{"formula": "K2ScTlBr6", "functional": "GGA-PBE", "state": "optimized geometry", "ef_kj_per_mol_fu": -1779, "energy_mp2020_ev_per_atom": -3.917, "magmom_total_mub_per_cell": 0.00, "lattice_angstrom": [[0.000, 5.821, 5.821], [5.821, 0.000, 5.821], [5.821, 5.821, 0.000]], "species": ["K", "K", "Sc", "Tl", "Br", "Br", "Br", "Br", "Br", "Br"], "frac_coords": [[0.250, 0.250, 0.250], [0.750, 0.750, 0.750], [0.000, 0.000, 0.000], [0.500, 0.500, 0.500], [0.228, 0.228, 0.772], [0.228, 0.772, 0.228], [0.228, 0.772, 0.772], [0.772, 0.228, 0.228], [0.772, 0.228, 0.772], [0.772, 0.772, 0.228]]}

---

{"formula": "Li5Cu4P6", "functional": "GGA-PBE", "state": "optimized geometry", "ef_kj_per_mol_fu": -647, "lattice_angstrom": [[-1.932, 4.371, 6.295], [1.932, -4.371, 6.295], [1.932, 4.371, -6.295]], "species": ["Li", "Li", "Li", "Li", "Li", "Cu", "Cu", "Cu", "Cu", "P", "P", "P", "P", "P", "P"], "frac_coords": [[0.000, 0.000, 0.000], [0.276, 0.276, 0.000], [0.329, 0.500, 0.829], [0.671, 0.500, 0.171], [0.724, 0.724, 0.000], [0.094, 0.827, 0.267], [0.441, 0.173, 0.267], [0.559, 0.827, 0.733], [0.906, 0.173, 0.733], [0.023, 0.647, 0.376], [0.271, 0.647, 0.624], [0.414, 0.914, 0.500], [0.586, 0.086, 0.500], [0.729, 0.353, 0.376], [0.977, 0.353, 0.624]]}

---

{"formula": "Mg6SiB", "functional": "GGA-PBE", "state": "optimized geometry", "de_polymorph_kj_per_mol_atoms": 4.8, "ef_kj_per_mol_fu": 190, "magmom_total_mub_per_cell": 0.00, "lattice_angstrom": [[4.080, 0.000, 0.000], [0.000, 4.181, 4.452], [0.000, -4.181, 4.452]], "species": ["Mg", "Mg", "Mg", "Mg", "Mg", "Mg", "Si", "B"], "frac_coords": [[0.000, 0.000, 0.000], [0.000, 0.400, 0.400], [0.000, 0.536, 0.886], [0.000, 0.886, 0.536], [0.500, 0.204, 0.707], [0.500, 0.707, 0.204], [0.500, 0.206, 0.206], [0.500, 0.808, 0.808]]}

---

{"formula": "Tb2TiO5", "functional": "GGA-PBE", "state": "optimized geometry", "de_polymorph_kj_per_mol_atoms": 12.2, "ef_kj_per_mol_fu": -2897, "energy_mp2020_ev_per_atom": -8.991, "magmom_total_mub_per_cell": 0.00, "lattice_angstrom": [[7.277, 0.000, 0.000], [3.407, 6.547, 0.000], [0.598, 0.438, 18.243]], "species": ["Tb", "Tb", "Tb", "Tb", "Tb", "Tb", "Tb", "Tb", "Tb", "Tb", "Tb", "Tb", "Tb", "Tb", "Tb", "Tb", "Ti", "Ti", "Ti", "Ti", "Ti", "Ti", "Ti", "Ti", "O", "O", "O", "O", "O", "O", "O", "O", "O", "O", "O", "O", "O", "O", "O", "O", "O", "O", "O", "O", "O", "O", "O", "O", "O", "O", "O", "O", "O", "O", "O", "O", "O", "O", "O", "O", "O", "O", "O", "O"], "frac_coords": [[0.000, 0.000, 0.000], [0.002, 0.515, 0.501], [0.128, 0.713, 0.830], [0.153, 0.204, 0.819], [0.174, 0.255, 0.328], [0.275, 0.844, 0.180], [0.318, 0.406, 0.666], [0.467, 0.064, 0.494], [0.476, 0.527, 0.017], [0.514, 0.999, 0.005], [0.628, 0.721, 0.840], [0.642, 0.711, 0.334], [0.645, 0.188, 0.841], [0.790, 0.351, 0.182], [0.822, 0.886, 0.668], [0.973, 0.051, 0.483], [0.141, 0.723, 0.353], [0.288, 0.881, 0.662], [0.316, 0.319, 0.141], [0.536, 0.506, 0.520], [0.639, 0.218, 0.343], [0.802, 0.898, 0.184], [0.841, 0.369, 0.670], [0.930, 0.544, 0.994], [0.042, 0.736, 0.232], [0.063, 0.946, 0.595], [0.117, 0.194, 0.691], [0.145, 0.248, 0.203], [0.146, 0.722, 0.705], [0.153, 0.202, 0.453], [0.198, 0.710, 0.453], [0.228, 0.379, 0.047], [0.235, 0.696, 0.941], [0.299, 0.849, 0.307], [0.309, 0.878, 0.058], [0.330, 0.379, 0.543], [0.336, 0.383, 0.790], [0.356, 0.860, 0.766], [0.367, 0.432, 0.328], [0.441, 0.496, 0.146], [0.442, 0.045, 0.885], [0.466, 0.610, 0.615], [0.488, 0.965, 0.616], [0.507, 0.041, 0.368], [0.527, 0.076, 0.124], [0.605, 0.696, 0.470], [0.635, 0.250, 0.453], [0.643, 0.218, 0.964], [0.645, 0.679, 0.960], [0.668, 0.717, 0.207], [0.680, 0.225, 0.679], [0.681, 0.119, 0.244], [0.782, 0.443, 0.768], [0.791, 0.367, 0.310], [0.791, 0.875, 0.790], [0.811, 0.351, 0.550], [0.850, 0.385, 0.054], [0.862, 0.795, 0.036], [0.912, 0.977, 0.368], [0.925, 0.569, 0.625], [0.941, 0.029, 0.132], [0.976, 0.574, 0.374], [0.984, 0.054, 0.873], [0.998, 0.495, 0.894]]}

---

{"formula": "Rb3PuH4O7", "functional": "GGA-PBE", "state": "optimized geometry", "ef_kj_per_mol_fu": -2960, "energy_mp2020_ev_per_atom": -6.406, "magmom_total_mub_per_cell": 4.00, "lattice_angstrom": [[6.622, 0.000, 0.000], [0.000, 11.527, 0.000], [-6.441, 0.000, 12.095]], "species": ["Rb", "Rb", "Rb", "Rb", "Rb", "Rb", "Rb", "Rb", "Rb", "Rb", "Rb", "Rb", "Pu", "Pu", "Pu", "Pu", "H", "H", "H", "H", "H", "H", "H", "H", "H", "H", "H", "H", "H", "H", "H", "H", "O", "O", "O", "O", "O", "O", "O", "O", "O", "O", "O", "O", "O", "O", "O", "O", "O", "O", "O", "O", "O", "O", "O", "O", "O", "O", "O", "O"], "frac_coords": [[0.012, 0.221, 0.244], [0.012, 0.279, 0.744], [0.260, 0.621, 0.054], [0.260, 0.879, 0.554], [0.466, 0.537, 0.637], [0.466, 0.963, 0.137], [0.534, 0.037, 0.863], [0.534, 0.463, 0.363], [0.740, 0.121, 0.446], [0.740, 0.379, 0.946], [0.988, 0.721, 0.256], [0.988, 0.779, 0.756], [0.372, 0.207, 0.591], [0.372, 0.293, 0.091], [0.628, 0.707, 0.909], [0.628, 0.793, 0.409], [0.021, 0.118, 0.051], [0.021, 0.382, 0.551], [0.070, 0.076, 0.919], [0.070, 0.424, 0.419], [0.082, 0.540, 0.707], [0.082, 0.960, 0.207], [0.305, 0.522, 0.868], [0.305, 0.978, 0.368], [0.695, 0.022, 0.632], [0.695, 0.478, 0.132], [0.918, 0.040, 0.793], [0.918, 0.460, 0.293], [0.930, 0.576, 0.581], [0.930, 0.924, 0.081], [0.979, 0.618, 0.449], [0.979, 0.882, 0.949], [0.053, 0.169, 0.002], [0.053, 0.331, 0.502], [0.060, 0.016, 0.862], [0.060, 0.484, 0.362], [0.198, 0.115, 0.640], [0.198, 0.385, 0.140], [0.265, 0.113, 0.460], [0.265, 0.387, 0.960], [0.315, 0.580, 0.818], [0.315, 0.920, 0.318], [0.454, 0.701, 0.457], [0.454, 0.799, 0.957], [0.483, 0.203, 0.224], [0.483, 0.297, 0.724], [0.517, 0.703, 0.276], [0.517, 0.797, 0.776], [0.546, 0.201, 0.043], [0.546, 0.299, 0.543], [0.685, 0.080, 0.682], [0.685, 0.420, 0.182], [0.735, 0.613, 0.040], [0.735, 0.887, 0.540], [0.802, 0.615, 0.860], [0.802, 0.885, 0.360], [0.940, 0.516, 0.638], [0.940, 0.984, 0.138], [0.947, 0.669, 0.498], [0.947, 0.831, 0.998]]}

---

{"formula": "NpB8O17", "functional": "GGA-PBE", "state": "optimized geometry", "ef_kj_per_mol_fu": -6323, "energy_mp2020_ev_per_atom": -8.309, "magmom_total_mub_per_cell": 3.38, "lattice_angstrom": [[3.250, -8.556, 0.000], [3.250, 8.556, 0.000], [-0.072, 0.000, 11.094]], "species": ["Np", "Np", "B", "B", "B", "B", "B", "B", "B", "B", "B", "B", "B", "B", "B", "B", "B", "B", "O", "O", "O", "O", "O", "O", "O", "O", "O", "O", "O", "O", "O", "O", "O", "O", "O", "O", "O", "O", "O", "O", "O", "O", "O", "O", "O", "O", "O", "O", "O", "O", "O", "O"], "frac_coords": [[0.232, 0.768, 0.500], [0.768, 0.232, 0.000], [0.036, 0.574, 0.798], [0.118, 0.241, 0.673], [0.241, 0.118, 0.173], [0.279, 0.395, 0.251], [0.311, 0.698, 0.163], [0.349, 0.493, 0.834], [0.351, 0.750, 0.935], [0.382, 0.975, 0.763], [0.395, 0.279, 0.751], [0.493, 0.349, 0.334], [0.574, 0.036, 0.298], [0.698, 0.311, 0.663], [0.750, 0.351, 0.435], [0.836, 0.949, 0.535], [0.949, 0.836, 0.035], [0.975, 0.382, 0.263], [0.067, 0.513, 0.153], [0.106, 0.591, 0.914], [0.109, 0.361, 0.309], [0.133, 0.939, 0.100], [0.146, 0.884, 0.472], [0.170, 0.750, 0.720], [0.183, 0.400, 0.750], [0.188, 0.223, 0.166], [0.223, 0.188, 0.666], [0.330, 0.664, 0.527], [0.361, 0.109, 0.809], [0.372, 0.828, 0.274], [0.387, 0.603, 0.187], [0.400, 0.183, 0.250], [0.414, 0.651, 0.911], [0.416, 0.840, 0.059], [0.426, 0.441, 0.338], [0.441, 0.426, 0.838], [0.477, 0.957, 0.865], [0.513, 0.067, 0.653], [0.591, 0.106, 0.414], [0.603, 0.387, 0.687], [0.651, 0.414, 0.411], [0.664, 0.330, 0.027], [0.735, 0.750, 0.576], [0.750, 0.170, 0.220], [0.750, 0.735, 0.076], [0.791, 0.914, 0.415], [0.828, 0.372, 0.774], [0.840, 0.416, 0.559], [0.884, 0.146, 0.972], [0.914, 0.791, 0.915], [0.939, 0.133, 0.600], [0.957, 0.477, 0.365]]}

---

Which formula does entry 12 have?
NpB8O17

---

Number 12 is which compound?
NpB8O17